DFT (GGA-PBE) results for a relaxed structure of K19Ti3Sb29O88.

The structure in extended XYZ format:
```
139
Lattice="1.614 -7.762 -6.583 -4.759 5.378 -7.545 18.002 5.976 -7.081" Properties=species:S:1:pos:R:3 pbc="T T T"
O 11.083 6.178 -10.794
O 14.859 -0.783 -10.227
O 3.785 -2.578 -10.408
O 2.601 3.638 -11.979
O 13.978 8.933 -14.160
O 10.174 4.444 -7.302
O -0.001 3.318 -8.353
O 11.252 0.969 -17.316
O -0.808 0.661 -9.529
O 12.001 3.904 -9.482
O 4.541 -3.799 -8.079
O 15.935 0.195 -15.219
O 8.015 0.599 -10.680
O 2.858 -2.822 -13.137
O 13.299 7.466 -11.903
O 17.111 2.338 -13.961
O 9.135 0.366 -13.915
O 6.724 1.304 -15.368
O 16.161 3.556 -7.765
O 12.005 1.020 -14.360
O 10.345 -3.504 -10.476
O 2.272 -2.794 -6.568
O 4.780 -1.576 -6.261
O 15.007 3.925 -19.956
O 14.295 5.085 -12.786
O 0.853 -5.400 -7.136
O 9.097 6.440 -8.594
O 1.507 1.793 -10.362
O 10.588 1.600 -10.366
O 3.607 2.591 -3.915
O -2.187 5.330 -7.713
O -2.259 3.041 -9.573
O 8.130 2.285 -5.840
O 14.145 2.590 -14.218
O -2.218 1.266 -7.175
O 0.716 1.010 -6.971
O -0.168 -0.361 -1.282
O 11.011 1.685 -7.564
O 4.256 1.980 -10.836
O 16.116 1.575 -9.391
O 8.465 2.163 -8.319
O 1.176 1.223 -13.260
O 7.274 -0.190 -6.597
O 8.155 2.778 -17.518
O 5.110 1.113 -5.953
O 6.389 1.433 -12.891
O 10.052 5.175 -14.941
O 12.003 6.420 -8.082
O 17.104 0.552 -11.616
O 9.209 4.311 -10.070
O 12.255 -0.050 -9.223
O 3.928 0.718 -16.108
O 13.859 1.193 -16.581
O 1.675 -3.863 -9.173
O 15.720 4.661 -15.240
O 9.004 2.842 -12.358
O 10.464 7.290 -13.131
O 7.582 3.777 -14.616
O 1.014 2.437 -4.642
O 13.330 1.796 -10.838
O -0.884 -1.001 -5.907
O 9.750 2.480 -15.259
O 5.641 -0.711 -11.139
O 2.870 2.571 -6.871
O 5.729 3.232 -7.293
O 0.557 -1.521 -8.376
O -0.005 4.374 -10.979
O 5.849 0.753 -8.850
O 6.697 0.812 -3.694
O 5.751 -2.847 -12.609
O 1.610 1.561 -2.252
O -1.059 3.368 -5.988
O 17.015 -1.702 -13.496
O 7.635 -4.121 -11.107
O 6.834 2.998 -10.529
O 15.628 2.959 -11.640
O 4.512 7.090 -10.732
O 4.681 -0.851 -13.903
O -1.299 0.016 -13.450
O 12.622 6.262 -14.829
O 10.929 2.870 -5.098
O 7.224 7.717 -10.097
O 3.836 1.899 -13.638
O 13.156 2.011 -19.004
O 2.824 -0.327 -11.728
O 14.844 0.283 -12.859
O 13.666 2.386 -7.927
O -1.305 2.036 -11.831
Sb 16.983 0.266 -13.560
Sb 10.721 7.066 -15.080
Sb 5.954 -0.525 -5.009
Sb 13.981 0.644 -14.727
Sb 13.951 6.838 -13.586
Sb 4.465 3.035 -5.662
Sb -2.104 3.394 -7.652
Sb 7.294 0.988 -17.353
Sb 10.644 5.300 -9.068
Sb 15.617 3.690 -13.468
Sb 12.248 10.281 -14.179
Sb 4.208 -1.699 -12.137
Sb 7.564 2.601 -3.854
Sb 8.795 2.426 -10.389
Sb 0.917 2.961 -6.511
Sb 15.182 1.081 -11.015
Sb 6.060 1.171 -10.820
Sb 2.657 1.644 -12.017
Sb -0.700 -0.149 -7.735
Sb -0.344 2.508 -10.212
Sb 8.906 4.110 -16.206
Sb 4.119 -3.487 -6.153
Sb 12.186 1.941 -9.184
Sb 10.408 0.561 -15.552
Sb 6.814 1.584 -7.349
Sb 11.368 8.014 -11.489
Sb 3.537 -4.410 -9.696
Sb 2.540 -6.656 -7.043
Sb 8.045 2.007 -13.861
K -0.032 6.678 -9.066
K 4.971 4.450 -12.527
K 17.823 3.506 -10.078
K 12.674 3.691 -16.567
K 0.483 -1.607 -11.565
K 11.776 3.431 -12.713
K 3.090 0.116 -8.521
K 14.894 -3.036 -12.118
K 8.099 -1.640 -12.214
K -2.924 -0.038 -11.122
K 2.306 -0.143 -4.702
K -1.298 1.654 -3.662
K 11.846 -0.688 -12.059
K 14.293 5.104 -9.529
K 9.895 -0.861 -8.690
K 6.760 5.240 -9.000
K 6.453 -2.182 -8.719
K 3.034 4.296 -9.176
K 8.440 5.797 -12.480
Ti 9.918 2.795 -6.646
Ti 0.923 -3.206 -7.672
Ti 4.937 0.800 -14.558
```

Results
The symmetry is P1 (1).



DFT (GGA-PBE) results for a relaxed structure of K4MgV2Cu2S8.

The structure in extended XYZ format:
```
17
Lattice="5.449 0.088 1.262 2.851 6.567 0.683 -0.040 0.049 11.809" Properties=species:S:1:pos:R:3 pbc="T T T"
K 1.523 1.725 8.010
K 3.609 1.627 11.399
K 6.432 4.829 6.045
K 4.538 4.869 2.242
S 3.789 2.964 5.029
S 3.759 6.218 10.953
S 1.806 2.743 1.973
S 4.300 0.181 2.762
S 1.184 0.491 4.739
S 6.881 6.340 9.040
S 6.374 3.814 11.587
S 4.399 3.592 8.520
Mg 4.654 1.684 6.911
V 2.790 1.571 3.536
V 5.338 4.994 10.057
Cu 5.532 1.588 4.120
Cu 2.630 4.964 9.368
```

Results
The symmetry is P1 (1).



DFT (GGA-PBE) results for a relaxed structure of Hg.

The structure in extended XYZ format:
```
1
Lattice="-2.090 0.609 2.317 1.477 -0.443 2.780 0.688 2.863 1.200" Properties=species:S:1:pos:R:3 pbc="T T T"
Hg 0.000 0.000 0.000
```

Results
The symmetry is R-3m (166). As for the energy relative to the lowest polymorph listed for this composition: 27.3 meV/atom.



DFT (GGA-PBE) results for a relaxed structure of UCu2P2O10.

The structure in extended XYZ format:
```
15
Lattice="-7.329 1.459 1.931 -4.574 -1.697 5.981 0.214 4.081 3.035" Properties=species:S:1:pos:R:3 pbc="T T T"
P -3.974 3.677 5.569
P -7.716 0.165 5.378
O -5.315 4.152 5.021
O -4.112 2.774 6.789
O -8.393 2.994 8.043
O -10.760 1.157 8.221
O -3.297 0.848 2.904
O -0.930 2.685 2.725
O -3.223 2.880 4.437
O -6.375 -0.310 5.926
O -7.578 1.068 4.157
O -8.467 0.962 6.510
Cu -3.558 2.770 2.483
Cu -2.180 1.192 4.508
U 0.000 0.000 0.000
```

Results
The symmetry is C2/m (12).



DFT (GGA-PBE) results for a relaxed structure of Li2B8SeO15.

The structure in extended XYZ format:
```
104
Lattice="16.487 0.000 0.000 0.000 8.553 0.000 0.000 0.684 8.735" Properties=species:S:1:pos:R:3 pbc="T T T"
O 8.502 2.104 1.375
O 11.086 2.642 3.772
O 1.633 7.899 1.515
O 5.001 2.298 7.754
O 13.771 8.671 5.521
O 6.548 9.043 7.754
O 2.715 0.566 3.213
O 14.791 4.471 0.981
O 7.472 3.770 8.165
O 1.695 4.767 7.754
O 8.478 6.266 2.760
O 7.208 7.004 0.891
O 11.485 6.939 0.981
O 10.959 4.395 5.521
O 13.644 6.919 3.772
O 9.939 0.194 0.981
O 5.674 6.764 7.991
O 4.048 4.370 7.964
O 12.439 4.867 0.770
O 10.813 2.473 0.744
O 6.611 3.623 1.515
O 9.589 0.617 4.567
O 13.245 2.663 0.981
O 1.346 4.343 4.167
O 12.037 8.695 3.830
O 2.843 2.318 4.963
O 12.693 4.419 3.830
O 1.028 7.503 3.796
O 15.452 6.510 7.843
O 13.917 6.749 0.744
O 14.854 1.338 7.220
O 9.876 5.614 7.220
O 16.228 6.381 1.375
O 0.771 8.047 8.165
O 6.117 4.430 5.564
O 2.127 8.707 5.564
O 1.035 2.727 0.891
O 7.985 7.133 7.359
O 0.259 2.857 7.359
O 4.450 0.542 4.905
O 6.898 8.620 4.167
O 9.278 2.234 7.843
O 5.528 4.842 3.213
O 15.459 1.734 4.939
O 7.216 3.227 3.796
O 8.009 2.972 5.974
O 3.242 6.574 7.754
O 9.014 5.467 0.570
O 9.271 6.010 4.939
O 2.570 2.488 7.991
O 15.716 1.191 0.570
O 5.400 6.595 4.963
O 0.234 7.248 5.974
O 15.141 4.894 4.567
O 3.794 4.818 4.905
O 16.252 1.989 2.760
O 14.360 0.530 3.171
O 10.370 4.807 3.171
O 12.291 0.591 0.770
O 4.196 8.646 7.964
B 6.859 7.684 8.197
B 11.204 8.283 0.929
B 8.266 2.952 7.332
B 3.025 0.881 4.607
B 9.627 1.554 0.537
B 14.687 1.049 5.887
B 7.561 2.910 0.813
B 8.220 6.285 1.402
B 0.023 2.009 1.402
B 6.443 3.911 2.848
B 13.526 4.007 0.929
B 13.461 8.356 4.128
B 7.081 3.558 5.156
B 1.384 3.407 8.197
B 11.269 4.080 4.128
B 1.162 7.835 5.156
B 8.925 6.327 7.922
B 2.960 5.230 7.805
B 15.324 1.402 3.579
B 12.663 6.240 0.835
B 4.420 7.274 7.899
B 10.043 5.326 5.887
B 16.464 7.228 7.332
B 15.805 2.051 7.922
B 15.103 5.830 0.537
B 5.218 5.157 4.607
B 1.800 8.188 2.848
B 0.682 7.187 0.813
B 5.283 0.954 7.805
B 9.406 5.679 3.579
B 12.067 1.964 0.835
B 3.824 2.997 7.899
Li 8.236 1.377 3.321
Li 8.251 7.860 5.413
Li 0.008 5.654 3.321
Li 5.905 4.839 7.525
Li 2.338 9.116 7.525
Li 16.479 3.584 5.413
Li 10.581 4.398 1.210
Li 14.149 0.122 1.210
Se 13.621 5.526 4.864
Se 2.866 3.711 3.871
Se 11.109 1.250 4.864
Se 5.377 7.987 3.871
```

Results
The symmetry is P2_1/c (14).



DFT (GGA-PBE) results for a relaxed structure of RbErSe2.

The structure in extended XYZ format:
```
4
Lattice="-3.754 7.243 1.790 -4.353 4.861 5.213 -0.700 6.888 4.671" Properties=species:S:1:pos:R:3 pbc="T T T"
Se -2.037 4.392 2.700
Se -6.769 14.599 8.975
Er -4.403 9.496 5.837
Rb 0.000 0.000 0.000
```

Results
The symmetry is R-3m (166).



DFT (GGA-PBE) results for a relaxed structure of ErFe2H3.

The structure in extended XYZ format:
```
48
Lattice="5.270 -5.581 0.000 5.270 5.581 0.000 -0.640 0.000 7.649" Properties=species:S:1:pos:R:3 pbc="T T T"
Fe 3.818 -1.439 1.900
Fe 5.270 -2.797 0.000
Fe 5.270 2.797 0.000
Fe 4.949 0.000 3.824
Fe 2.294 0.000 3.872
Fe 0.834 -1.392 5.741
Fe 6.081 1.439 5.748
Fe 2.635 2.790 0.000
Fe 3.795 4.189 1.908
Fe 6.081 -1.439 5.748
Fe 0.834 1.392 5.741
Fe -0.320 0.000 3.824
Fe 3.818 1.439 1.900
Fe 7.605 0.000 3.776
Fe 2.635 -2.790 0.000
Fe 3.795 -4.189 1.908
Er 6.593 0.000 0.985
Er 3.611 -2.816 4.845
Er 6.288 2.816 2.804
Er 3.611 2.816 4.845
Er 1.363 0.000 1.053
Er 6.288 -2.816 2.804
Er 3.306 0.000 6.664
Er 8.536 0.000 6.596
H 5.328 1.674 1.231
H 2.396 1.150 2.690
H 7.551 -1.141 2.560
H 1.104 0.000 6.606
H 4.120 2.814 2.795
H 6.285 0.000 6.534
H 7.503 -1.150 4.959
H 2.348 -1.141 5.089
H 2.348 1.141 5.089
H 2.396 -1.150 2.690
H 7.503 1.150 4.959
H 5.779 2.814 4.854
H 5.779 -2.814 4.854
H 3.613 0.000 1.115
H 4.571 1.674 6.417
H 7.551 1.141 2.560
H 4.620 -3.942 6.446
H 5.328 -1.674 1.231
H 8.795 0.000 1.043
H 5.279 3.942 1.203
H 5.279 -3.942 1.203
H 4.620 3.942 6.446
H 4.571 -1.674 6.417
H 4.120 -2.814 2.795
```

Results
The symmetry is R-3m (166).



DFT (GGA-PBE) results for a relaxed structure of AgHgPd2.

The structure in extended XYZ format:
```
4
Lattice="-1.117 -0.514 4.454 -2.638 3.159 2.099 -4.343 -1.038 1.188" Properties=species:S:1:pos:R:3 pbc="T T T"
Pd -2.025 0.402 1.935
Pd -6.074 1.206 5.806
Hg -4.049 0.804 3.871
Ag 0.000 0.000 0.000
```

Results
The symmetry is Fm-3m (225).



Number 1: calculated formation energy -2082 meV per atom. Number 2: calculated formation energy -1190 meV per atom. Number 3: calculated formation energy 27 meV per atom. Number 4: calculated formation energy -2486 meV per atom. Number 5: calculated formation energy -2640 meV per atom. Number 6: calculated formation energy -1956 meV per atom. Number 7: calculated formation energy -281 meV per atom. Number 8: calculated formation energy -144 meV per atom.